<w>
The following is a DFT calculation (PBE-GGA) of crystalline Te2Mo2WSe2S2 at its relaxed geometry.

Structure (POSCAR):
```
Te2Mo2WSe2S2
1.0
1.676 -2.903 0.000
1.676 2.903 0.000
0.000 0.000 31.007
Te Mo W Se S
2 2 1 2 2
Cartesian
1.676 0.968 16.028
1.676 0.968 19.838
0.000 0.000 3.586
1.676 0.968 10.757
0.000 0.000 17.934
0.000 0.000 12.423
0.000 0.000 9.091
1.676 0.968 2.070
1.676 0.968 5.102
```

Values from the calculation:
The value obtained for the density is 4.69 g cm⁻³. For the total magnetization, the calculation gives 0.00 μB per formula unit.


<x>
The following is a DFT calculation (PBE-GGA) of crystalline Te2Mo2WSe2S2 at its relaxed geometry.

Structure (POSCAR):
```
Te2Mo2WSe2S2
1.0
1.674 -2.900 0.000
1.674 2.900 0.000
0.000 0.000 31.939
Te Mo W Se S
2 2 1 2 2
Cartesian
0.000 0.000 12.948
0.000 0.000 9.155
0.000 0.000 3.679
1.674 0.967 11.052
0.000 0.000 18.515
1.674 0.967 16.843
1.674 0.967 20.189
1.674 0.967 2.164
1.674 0.967 5.197
```

Values from the calculation:
The value obtained for the density is 4.57 g cm⁻³. For the total magnetization, the calculation gives 0.00 μB per formula unit.


The energy of each structure relative to the most stable one, in meV/atom, is as follows: <w> 29; <x> 0.


<w>
The following is a DFT calculation (PBE-GGA) of crystalline U at its relaxed geometry.

Structure (POSCAR):
```
U
1.0
3.561 4.161 0.000
-3.561 4.161 0.000
0.000 3.654 4.226
U
6
Cartesian
-2.288 5.074 1.057
2.288 6.901 3.170
-0.588 5.494 3.677
-0.588 8.308 2.662
0.588 6.481 0.549
0.588 3.667 1.564
```

Values from the calculation:
The value obtained for the density is 18.94 g cm⁻³. For the total magnetization, the calculation gives 0.13 μB per formula unit.


<x>
The following is a DFT calculation (PBE-GGA) of crystalline U at its relaxed geometry.

Structure (POSCAR):
```
U
1.0
6.608 0.000 0.000
0.000 5.098 0.000
0.000 0.000 4.891
U
8
Cartesian
5.239 1.602 1.223
1.935 0.947 1.223
1.369 3.496 3.668
4.673 4.151 3.668
3.605 3.570 1.223
0.301 4.077 1.223
3.003 1.528 3.668
6.307 1.021 3.668
```

Values from the calculation:
The value obtained for the density is 19.19 g cm⁻³.


The energy of each structure relative to the most stable one, in meV/atom, is as follows: <w> 242; <x> 0.


<w>
The following is a DFT calculation (PBE-GGA) of crystalline Ba2CaN2 at its relaxed geometry.

Structure (POSCAR):
```
Ba2CaN2
1.0
3.672 0.000 0.000
0.000 6.027 0.000
0.000 0.000 11.434
Ba Ca N
4 2 4
Cartesian
0.838 1.507 10.700
0.838 1.507 6.450
2.834 4.520 0.734
2.834 4.520 4.983
0.841 1.507 2.858
2.831 4.520 8.575
2.604 1.507 4.610
2.604 1.507 1.107
1.068 4.520 6.824
1.068 4.520 10.327
```

Values from the calculation:
The value obtained for the density is 4.50 g cm⁻³. For the total magnetization, the calculation gives 0.00 μB per formula unit.


<x>
The following is a DFT calculation (PBE-GGA) of crystalline Ba2CaN2 at its relaxed geometry.

Structure (POSCAR):
```
Ba2CaN2
1.0
3.836 0.000 0.000
-1.918 3.322 0.000
0.001 0.000 10.321
Ba Ca N
2 1 2
Cartesian
1.918 1.107 2.281
0.001 2.215 8.040
0.000 0.000 5.160
1.918 1.108 6.699
0.000 2.215 3.622
```

Values from the calculation:
The value obtained for the density is 4.33 g cm⁻³. For the total magnetization, the calculation gives 0.01 μB per formula unit.


The energy of each structure relative to the most stable one, in meV/atom, is as follows: <w> 63; <x> 0.